Here is an optimized crystal structure of ScMnO3 from the Materials Project. Energies are from meta-GGA r2SCAN. Values from VASP.

Quantum ESPRESSO input file:
```
&SYSTEM
  ibrav = 0, nat = 30, ntyp = 3
/
ATOMIC_SPECIES
Sc 44.96 Sc.upf
Mn 54.94 Mn.upf
O 16.00 O.upf
CELL_PARAMETERS angstrom
5.857 0.000 0.000
-2.929 5.073 0.000
0.000 0.000 11.182
ATOMIC_POSITIONS angstrom
Sc 0.000 0.000 0.000
Sc 0.000 0.000 5.591
Sc 0.000 3.382 5.087
Sc 0.000 3.382 10.679
Sc 2.929 1.691 5.087
Sc 2.929 1.691 10.679
Mn -0.976 1.690 2.514
Mn -1.953 3.382 8.105
Mn 1.952 0.000 2.514
Mn 0.976 1.690 8.105
Mn 3.906 0.000 8.105
Mn 1.953 3.382 2.514
O 0.000 0.000 2.170
O 0.000 0.000 7.761
O -0.886 1.534 4.393
O -1.070 1.853 0.646
O -1.859 3.220 6.237
O -2.043 3.538 9.984
O 1.772 0.000 4.393
O 0.886 1.534 9.984
O 0.000 3.382 2.798
O 0.000 3.382 8.389
O 2.139 0.000 0.646
O 1.070 1.853 6.237
O 3.718 0.000 6.237
O 1.859 3.220 0.646
O 2.929 1.691 2.798
O 2.929 1.691 8.389
O 4.086 0.000 9.984
O 2.043 3.538 4.393
```

Computed properties:
- magnetic moment (μB per formula unit) = 4.00
- ΔH_f (0 K) (eV per atom) = -3.01
- E (Ha/atom) = -0.4339